Here is a relaxed Na5Si6O18 crystal from the Materials Project database. Energies are from PBE.

Structure (POSCAR):
```
Na5Si6O18
1.0
7.3640 0.0000 0.0000
3.6288 6.4472 0.0000
3.6475 -2.0181 9.5567
Na Si O
5 6 18
Cartesian
0.0000 0.0000 0.0000
7.3166 4.6080 4.7693
7.5509 -0.0028 9.5345
7.0895 4.4319 0.0222
7.3238 -0.1790 4.7873
2.1083 0.6845 2.4049
5.1835 0.7078 7.2215
7.8440 2.2401 7.1166
6.7963 2.1890 2.4401
9.4569 3.7213 2.3351
12.5320 3.7446 7.1518
2.7482 2.2052 2.3315
4.7630 -0.1235 8.5476
2.5539 -0.2758 3.6222
6.8219 3.5589 7.1456
4.7663 -0.2718 5.9983
2.5602 -0.2176 1.1388
6.8367 0.9142 7.1831
5.9945 2.2067 3.8467
8.8021 2.2616 8.4046
5.8382 2.1675 1.1521
8.6459 2.2224 5.7099
7.8036 3.5149 2.3735
12.0801 4.6467 8.4178
9.8741 4.7009 3.5583
7.8184 0.8702 2.4111
12.0865 4.7049 5.9344
9.8773 4.5526 1.0090
11.8921 2.2239 7.2251
```

Calculated values
Energy ... -6.320 eV/atom
Symmetry ... P-1 (2)

Here is a relaxed U7Se12 crystal from the Materials Project database. Energies are from PBE.

Structure (POSCAR):
```
U7Se12
1.0
11.4973 0.0000 0.0000
-5.7486 9.9569 0.0000
0.0000 0.0000 3.9226
U Se
7 12
Cartesian
0.0000 0.0000 0.0000
-2.4636 7.1110 0.0000
0.8221 4.2679 0.0000
4.2185 1.4836 1.9613
1.6415 8.5349 0.0000
4.9243 5.5618 1.9613
8.1031 2.9115 1.9613
-1.4387 2.5060 0.0000
-1.3607 5.2306 1.9613
1.2229 2.0939 1.9613
-2.8590 9.9499 0.0000
-0.5384 8.5201 1.9613
1.8992 6.1632 1.9613
3.7867 3.6722 0.0000
6.4237 1.4433 0.0000
4.2977 7.4579 0.0000
9.0725 0.0121 1.9613
7.0355 4.8414 0.0000
6.9505 7.8509 1.9613
```

Calculated values
Energy ... -7.528 eV/atom
Symmetry ... P-6 (174)

Here is a relaxed CaAg3 crystal from the Materials Project database. Energies are from PBE.

Structure (POSCAR):
```
CaAg3
1.0
0.0000 3.4934 3.4934
3.4934 0.0000 3.4934
3.4934 3.4934 0.0000
Ca Ag
1 3
Cartesian
0.0000 0.0000 0.0000
1.7467 1.7467 1.7467
3.4934 3.4934 3.4934
5.2401 5.2401 5.2401
```

Calculated values
Energy ... -2.823 eV/atom
Symmetry ... Fm-3m (225)

Here is a relaxed TeMo2SeS2 crystal from the Materials Project database. Energies are from PBE.

Structure (POSCAR):
```
TeMo2SeS2
1.0
3.3081 0.0000 0.0000
-1.6540 2.8649 0.0000
0.0000 0.0000 37.5626
Te Mo Se S
2 4 2 4
Cartesian
0.0000 0.0000 0.0000
0.0000 0.0000 3.8220
0.0000 0.0000 8.9680
0.0000 0.0000 32.4159
0.0000 1.9099 1.9110
0.0000 1.9099 16.0244
0.0000 0.0000 14.3474
0.0000 0.0000 17.7018
0.0000 1.9099 7.4401
0.0000 1.9099 10.4966
0.0000 1.9099 30.8894
0.0000 1.9099 33.9430
```

Calculated values
Energy ... -6.719 eV/atom
Symmetry ... P3m1 (156)

Here is a relaxed Ca3La2Sb3O14 crystal from the Materials Project database. Energies are from PBE.

Structure (POSCAR):
```
Ca3La2Sb3O14
1.0
6.5488 -3.8189 0.0000
6.5488 3.8189 0.0000
-4.3163 0.0000 6.1924
Ca La Sb O
3 2 3 14
Cartesian
0.0000 0.0000 0.0000
-2.1581 0.0000 3.0962
6.5488 0.0000 0.0000
1.1163 1.9094 3.0962
1.1163 -1.9094 3.0962
3.2744 1.9094 0.0000
3.2744 -1.9094 0.0000
4.3907 0.0000 3.0962
-0.0144 0.0000 2.3485
0.8278 1.7631 5.6105
3.6892 1.5460 1.9657
-1.4961 0.0000 5.6576
2.5922 0.0000 3.9109
7.9535 1.7631 0.5819
5.0921 1.5460 4.2267
3.6892 -1.5460 1.9657
0.8278 -1.7631 5.6105
6.1891 0.0000 2.2815
10.2774 0.0000 0.5348
5.0921 -1.5460 4.2267
7.9535 -1.7631 0.5819
8.7957 0.0000 3.8439
```

Calculated values
Energy ... -6.836 eV/atom
Symmetry ... C2/m (12)

Here is a relaxed Pr2Ti3Cl2O8 crystal from the Materials Project database. Energies are from PBE.

Structure (POSCAR):
```
Pr2Ti3Cl2O8
1.0
14.9656 0.0000 0.0000
0.0000 11.7589 0.0000
0.0000 0.0000 5.0764
Pr Ti Cl O
8 12 8 32
Cartesian
2.4259 1.6230 0.1083
2.4259 10.1359 2.6465
5.0569 4.2564 2.6465
5.0569 7.5025 0.1083
9.9087 4.2564 4.9682
9.9087 7.5025 2.4299
12.5397 1.6230 2.4299
12.5397 10.1359 4.9682
0.0000 4.8091 3.8073
0.0000 6.9498 1.2691
2.4320 4.9819 0.6479
2.4320 6.7770 3.1861
5.0508 0.8975 3.1861
5.0508 10.8614 0.6479
7.4828 1.0704 1.2691
7.4828 10.6885 3.8073
9.9148 0.8975 4.4286
9.9148 10.8614 1.8903
12.5336 4.9819 1.8903
12.5336 6.7770 4.4286
1.1393 1.2031 2.6246
1.1393 10.5558 0.0863
6.3435 4.6763 0.0863
6.3435 7.0826 2.6246
8.6221 4.6763 2.4519
8.6221 7.0826 4.9901
13.8263 1.2031 4.9901
13.8263 10.5558 2.4519
1.1481 5.3510 2.2209
1.1481 6.4079 4.7592
1.2135 3.7489 4.6946
1.2135 8.0100 2.1564
3.3020 3.5230 1.2540
3.3020 8.2359 3.7922
3.5508 5.5182 4.2009
3.5508 6.2407 1.6627
3.9320 0.3613 1.6627
3.9320 11.3976 4.2009
4.1808 2.3564 3.7922
4.1808 9.4025 1.2540
6.2693 2.1306 2.1564
6.2693 9.6283 4.6946
6.3347 0.5284 4.7592
6.3347 11.2304 2.2209
8.6309 0.5284 2.8555
8.6309 11.2304 0.3173
8.6963 2.1306 0.3818
8.6963 9.6283 2.9200
10.7848 2.3564 3.8224
10.7848 9.4025 1.2842
11.0336 0.3613 0.8755
11.0336 11.3976 3.4137
11.4148 5.5182 3.4137
11.4148 6.2407 0.8755
11.6636 3.5230 1.2842
11.6636 8.2359 3.8224
13.7521 3.7489 2.9200
13.7521 8.0100 0.3818
13.8175 5.3510 0.3173
13.8175 6.4079 2.8555
```

Calculated values
Energy ... -8.148 eV/atom
Symmetry ... Pbcn (60)

Here is a relaxed HoGa3 crystal from the Materials Project database. Energies are from PBE.

Structure (POSCAR):
```
HoGa3
1.0
3.0448 1.7579 11.8931
-3.0448 1.7579 11.8931
0.0000 -3.5159 11.8931
Ho Ga
5 15
Cartesian
0.0000 0.0000 0.0000
0.0000 0.0000 4.6621
0.0000 0.0000 14.2723
0.0000 0.0000 21.4071
0.0000 0.0000 31.0173
-1.5224 -0.8790 11.8931
0.0000 -1.5613 9.5349
-1.3521 0.7806 9.5349
-1.5306 -0.8837 16.6793
0.0000 -1.7673 19.0002
-1.5306 0.8837 19.0002
-1.3521 -0.7806 26.1445
-1.5224 0.8790 23.7863
0.0000 1.7579 11.8931
1.3521 0.7806 9.5349
1.5306 -0.8837 16.6792
0.0000 1.7673 16.6792
1.5306 0.8837 19.0002
1.3521 -0.7806 26.1445
0.0000 1.5613 26.1445
```

Calculated values
Energy ... -3.937 eV/atom
Symmetry ... R-3m (166)

Here is a relaxed Na30Mg20Nb4Si9S27O144 crystal from the Materials Project database. Energies are from PBE.

Structure (POSCAR):
```
Na30Mg20Nb4Si9S27O144
1.0
8.9593 0.0000 0.0000
0.0154 15.4238 0.0000
0.0238 0.0006 22.3597
Na Mg Nb Si S O
30 20 4 9 27 144
Cartesian
0.0000 0.0000 0.0000
0.0394 5.2149 7.3902
0.4064 15.3221 14.7244
0.4494 0.2781 6.9935
0.6578 5.2705 14.6234
1.6004 2.9607 11.1811
1.6679 2.3711 18.2191
1.7297 8.0528 18.2089
2.1575 12.9164 18.5451
2.1643 7.7078 11.1436
3.2766 10.4200 20.3581
3.2947 5.3045 12.9252
3.3159 10.5558 9.2430
3.3242 5.1936 1.6502
3.3311 0.1705 5.3894
3.5761 0.0282 16.6155
4.5098 7.7179 22.3332
4.5319 12.9086 7.3812
4.6146 2.6117 14.8374
4.8832 12.6657 22.0771
4.9421 8.0565 7.0465
6.0742 5.3410 3.5144
6.6059 5.2060 18.5874
6.6313 15.4000 11.1182
7.5940 12.8068 12.8560
7.6537 2.7137 20.4437
7.6525 2.7912 9.1821
7.7211 8.0532 16.5763
7.9003 8.0548 5.4147
8.0440 12.9316 1.7761
3.2196 10.3021 1.3130
3.3106 5.2571 16.0665
3.3050 10.2778 5.6366
3.3032 5.2200 4.9276
3.3259 5.1948 9.5394
3.3852 10.2753 16.8310
3.3813 15.3789 8.7360
3.4105 15.3954 19.9203
3.4149 5.1490 20.7875
3.4069 10.3539 12.4381
7.7195 12.8766 16.1142
7.7611 12.8417 9.5540
7.7618 2.6279 1.2664
7.7982 7.7125 19.9452
7.7859 2.5168 5.6632
7.8047 2.4322 16.8121
7.8140 7.7536 8.7373
7.8617 12.9334 4.8983
7.8757 2.6549 12.4879
7.8999 12.8710 20.7075
3.2038 15.3911 2.1080
3.4307 15.3270 13.2842
7.7344 7.7322 2.0823
7.9073 7.7735 13.2255
0.1539 5.4004 10.8113
1.5251 2.6185 14.7048
1.9952 13.0712 22.0222
2.1340 8.1005 14.6707
4.5131 8.0364 3.4943
4.6920 13.0444 10.8037
6.4870 5.3619 22.0221
6.5790 0.3185 14.6183
8.9573 0.3263 3.4952
0.1599 10.0340 10.9010
0.1619 10.6375 18.4087
0.1756 15.1809 18.4303
0.1828 4.8624 3.5307
0.6879 10.3289 3.5048
0.7134 5.1959 18.4241
0.7137 0.0099 10.8799
1.4642 12.8738 7.2324
1.4783 7.7608 22.0592
1.9967 12.5222 14.7247
2.0019 7.4763 7.2417
2.0214 2.9274 7.2559
2.0547 2.2955 22.0791
4.6283 2.2931 10.9373
4.6593 7.4686 18.4288
4.6645 2.9228 18.4157
4.6707 12.5794 3.5017
5.1620 2.5893 3.5182
5.1842 12.8738 18.4315
5.1952 7.7511 10.8845
5.9419 0.0569 22.0966
5.9494 5.1643 7.2049
5.9677 10.3248 14.6813
6.4934 15.1826 7.2445
6.5148 4.9048 14.7163
6.5102 10.6416 7.2184
6.5371 10.0253 22.1019
0.3324 7.9163 14.4625
0.3801 13.1395 22.0770
0.5110 2.8432 7.1868
0.5148 7.6117 7.3204
0.5526 12.7452 14.8557
0.5540 7.6753 0.9052
0.5857 2.3458 22.2295
0.6058 13.0298 6.0508
0.6228 2.9407 13.4035
0.6672 2.2655 16.0477
0.6711 7.9323 20.8385
0.6658 12.7277 8.4643
1.4915 10.0933 4.7161
1.4894 10.5285 2.2985
1.5157 5.3251 17.1824
1.5694 15.3432 12.1332
1.5891 5.0179 19.5943
1.5807 0.2288 9.7083
1.6194 10.0767 11.0686
1.6194 5.0344 3.6778
1.6728 10.5372 18.3615
1.6817 15.3491 18.5010
1.7986 5.3706 10.9257
1.8012 0.2113 3.2813
2.2247 8.9139 16.0551
2.2851 6.5166 22.0301
2.2760 6.5903 6.0908
2.3040 14.1449 7.2849
2.3153 11.7456 13.5342
2.3127 3.7052 8.4915
2.3395 1.4898 20.8695
2.3844 8.9214 22.1853
2.4170 11.7207 7.1065
2.4189 14.1620 0.9690
2.4231 1.2075 14.4376
2.5448 6.5390 14.7666
2.5690 13.9591 14.5543
2.5530 1.5279 7.3514
2.5679 3.5868 6.0663
2.5753 6.8648 8.4813
2.5988 8.7710 13.2936
2.6250 12.0383 15.9696
2.6257 3.8080 14.8513
2.6505 3.6322 22.0373
2.6377 8.8158 7.1103
2.6414 1.5913 0.9282
2.6881 13.7759 20.7392
2.7801 11.6879 22.2940
3.9809 3.6215 10.8523
3.9889 11.6418 11.0996
4.0194 1.5725 18.5459
4.0255 8.8119 18.2965
4.0158 1.6600 12.1910
4.0204 12.0451 4.7179
4.0494 8.7234 2.1215
4.0849 6.8618 19.6628
4.0773 14.0055 3.3514
4.0998 3.5284 17.1778
4.1222 13.7727 9.4847
4.1130 6.4628 3.5797
4.2135 14.1437 12.0831
4.2545 11.6939 18.3228
4.2397 3.7406 3.6659
4.2872 8.9021 11.0189
4.3082 14.1068 18.4592
4.3225 1.4419 9.7791
4.3207 1.3481 3.3311
4.3491 3.7760 19.5813
4.3500 11.8334 2.2782
4.3829 6.5883 17.2683
4.3822 6.5018 10.8592
4.4138 8.8598 4.8732
4.8632 5.4575 22.1447
4.8779 0.1024 14.4297
5.0001 10.5393 7.1561
5.0053 15.3302 7.3252
5.0643 10.1085 22.2468
5.0644 5.0742 14.8848
5.0661 15.3258 0.9544
5.1143 0.2515 20.9082
5.1071 5.0244 8.4042
5.1309 5.2959 5.9761
5.1513 10.5165 13.4812
5.1856 10.0947 15.9045
5.9505 12.7427 19.6990
5.9637 2.3874 4.7348
5.9950 7.9121 9.6633
5.9993 2.8502 2.3384
6.0575 12.9828 17.2663
6.0881 2.3933 11.0751
6.1011 7.6538 12.0889
6.1155 12.7397 3.6469
6.1489 7.6044 18.5051
6.1520 2.8352 18.3374
6.3153 13.1403 10.9188
6.3172 7.8903 3.2885
6.5410 1.3469 15.8617
6.7377 14.2004 22.0161
6.7531 4.0772 13.5366
6.7655 14.3064 6.0896
6.7788 6.4311 7.2651
6.8070 9.0552 14.5066
6.8062 11.4433 8.4223
6.8357 9.1955 20.9384
6.8821 1.1796 22.2281
6.8960 4.0068 7.1137
6.9170 11.4408 14.8175
6.9321 6.4684 0.9845
7.0563 6.0972 20.7064
7.0421 9.2350 7.3404
7.0499 11.2569 6.0041
7.0885 11.3925 22.0397
7.0726 14.5832 8.4826
7.1087 0.9770 13.2432
7.1116 1.1092 7.1196
7.1111 9.3742 0.9835
7.1336 6.2885 14.5257
7.1754 3.9491 22.3043
7.1720 4.3814 15.9410
7.2713 14.2886 14.8142
8.4625 3.9414 11.0147
8.4644 4.3549 4.7576
8.5104 11.3608 10.8676
8.5140 9.3500 12.1507
8.5072 14.2199 3.5878
8.5203 1.1204 18.3713
8.5146 6.2734 3.3677
8.5223 1.0443 2.1265
8.5670 6.1487 9.5065
8.5855 9.2352 18.5226
8.5932 11.2623 17.1954
8.6338 14.5106 19.6521
8.6893 11.4307 3.6555
8.7039 6.4577 12.1545
8.7484 4.0150 18.3431
8.7894 1.1998 10.9799
8.8088 9.1863 9.7523
8.8210 11.4409 19.6119
8.8075 4.0843 2.3409
8.8146 9.0540 3.3297
8.8408 6.4509 18.4971
8.8700 14.2111 10.8048
8.8811 14.3604 17.2254
8.9116 1.1658 4.8729
```

Calculated values
Energy ... -6.228 eV/atom
Symmetry ... P1 (1)

Number 1: E_form -2325 meV per atom. Number 2: E_form -1458 meV per atom. Number 3: E_form -198 meV per atom. Number 4: E_form -786 meV per atom. Number 5: E_form -2839 meV per atom. Number 6: E_form -3412 meV per atom. Number 7: E_form -520 meV per atom. Number 8: E_form -2441 meV per atom.